1.
{"formula": "LiMnP4H4O14", "functional": "PBE+U", "state": "optimized geometry", "lattice": [[-4.269, -5.237, 2.621], [2.488, 2.914, 7.885], [-7.589, 4.387, 5.474]], "species": ["H", "H", "H", "H", "H", "H", "H", "H", "Mn", "Mn", "P", "P", "P", "P", "P", "P", "P", "P", "O", "O", "O", "O", "O", "O", "O", "O", "O", "O", "O", "O", "O", "O", "O", "O", "O", "O", "O", "O", "O", "O", "O", "O", "O", "O", "O", "O", "Li", "Li"], "fractional_positions": [[0.788, 0.166, 0.276], [0.030, 0.665, 0.965], [0.029, 0.165, 0.465], [0.788, 0.666, 0.776], [0.212, 0.833, 0.724], [0.212, 0.334, 0.224], [0.971, 0.335, 0.035], [0.971, 0.835, 0.535], [0.500, 0.500, 0.500], [0.500, 0.000, 0.000], [0.626, 0.417, 0.810], [0.220, 0.486, 0.816], [0.220, 0.986, 0.315], [0.626, 0.917, 0.310], [0.374, 0.083, 0.690], [0.780, 0.514, 0.185], [0.781, 0.014, 0.684], [0.374, 0.583, 0.190], [0.938, 0.686, 0.052], [0.159, 0.642, 0.826], [0.254, 0.979, 0.164], [0.697, 0.935, 0.148], [0.696, 0.436, 0.648], [0.254, 0.479, 0.664], [0.159, 0.142, 0.326], [0.303, 0.065, 0.852], [0.587, 0.239, 0.942], [0.576, 0.017, 0.656], [0.938, 0.186, 0.552], [0.424, 0.483, 0.845], [0.062, 0.314, 0.948], [0.413, 0.761, 0.058], [0.841, 0.858, 0.674], [0.841, 0.358, 0.174], [0.746, 0.021, 0.836], [0.062, 0.814, 0.448], [0.771, 0.036, 0.333], [0.413, 0.261, 0.558], [0.771, 0.536, 0.833], [0.229, 0.964, 0.667], [0.424, 0.984, 0.344], [0.229, 0.464, 0.167], [0.576, 0.517, 0.156], [0.303, 0.565, 0.352], [0.587, 0.739, 0.442], [0.746, 0.520, 0.336], [0.000, 0.500, 0.500], [0.000, 0.000, 0.000]], "ef_ev_per_atom": -2.256, "e_above_lowest_polymorph_mev_per_atom": 0.0}


2.
{"formula": "LiMnP4H4O14", "functional": "PBE+U", "state": "optimized geometry", "lattice": [[5.039, 0.000, 0.000], [2.094, 6.963, 0.000], [1.230, 0.542, 7.768]], "species": ["O", "O", "O", "O", "O", "O", "O", "O", "O", "O", "O", "O", "O", "O", "H", "H", "H", "H", "P", "P", "P", "P", "Li", "Mn"], "fractional_positions": [[0.824, 0.762, 0.848], [0.355, 0.425, 0.341], [0.632, 0.084, 0.271], [0.368, 0.916, 0.729], [0.294, 0.774, 0.354], [0.715, 0.592, 0.185], [0.176, 0.238, 0.152], [0.237, 0.655, 0.075], [0.645, 0.575, 0.659], [0.184, 0.153, 0.481], [0.816, 0.847, 0.519], [0.706, 0.226, 0.646], [0.763, 0.345, 0.925], [0.285, 0.408, 0.815], [0.697, 0.996, 0.377], [0.303, 0.004, 0.623], [0.902, 0.210, 0.573], [0.098, 0.790, 0.427], [0.597, 0.388, 0.771], [0.403, 0.612, 0.229], [0.324, 0.216, 0.309], [0.676, 0.784, 0.691], [0.000, 0.000, 0.000], [0.000, 0.500, 0.000]], "ef_ev_per_atom": -2.171, "space_group": "P-1 (2)", "e_above_lowest_polymorph_mev_per_atom": 85.2}


3.
{"formula": "Li4Mn3P4H2O16", "functional": "PBE+U", "state": "optimized geometry", "lattice": [[9.436, 0.000, 0.000], [0.000, 8.668, 0.000], [0.000, 4.226, 8.383]], "species": ["O", "O", "O", "O", "O", "O", "O", "O", "O", "O", "O", "O", "O", "O", "O", "O", "O", "O", "O", "O", "O", "O", "O", "O", "O", "O", "O", "O", "O", "O", "O", "O", "Li", "Li", "Li", "Li", "Li", "Li", "Li", "Li", "Mn", "Mn", "Mn", "Mn", "Mn", "Mn", "P", "P", "P", "P", "P", "P", "P", "P", "H", "H", "H", "H"], "fractional_positions": [[0.332, 0.331, 0.769], [0.587, 0.037, 0.264], [0.668, 0.669, 0.231], [0.073, 0.789, 0.449], [0.810, 0.713, 0.986], [0.212, 0.983, 0.200], [0.363, 0.597, 0.393], [0.427, 0.289, 0.449], [0.573, 0.711, 0.551], [0.927, 0.211, 0.551], [0.788, 0.017, 0.800], [0.388, 0.633, 0.852], [0.168, 0.831, 0.769], [0.326, 0.867, 0.473], [0.832, 0.169, 0.231], [0.612, 0.367, 0.148], [0.863, 0.903, 0.607], [0.413, 0.963, 0.736], [0.087, 0.463, 0.736], [0.310, 0.787, 0.014], [0.137, 0.097, 0.393], [0.637, 0.403, 0.607], [0.174, 0.367, 0.473], [0.190, 0.287, 0.014], [0.913, 0.537, 0.264], [0.112, 0.133, 0.852], [0.690, 0.213, 0.986], [0.288, 0.483, 0.200], [0.826, 0.633, 0.527], [0.674, 0.133, 0.527], [0.888, 0.867, 0.148], [0.712, 0.517, 0.800], [0.006, 0.708, 0.706], [0.356, 0.409, 0.049], [0.644, 0.591, 0.951], [0.994, 0.292, 0.294], [0.494, 0.208, 0.706], [0.506, 0.792, 0.294], [0.856, 0.091, 0.951], [0.144, 0.909, 0.049], [0.136, 0.099, 0.626], [0.364, 0.599, 0.626], [0.864, 0.901, 0.374], [0.500, 0.000, 0.500], [0.636, 0.401, 0.374], [0.000, 0.500, 0.500], [0.814, 0.065, 0.622], [0.186, 0.935, 0.378], [0.321, 0.804, 0.838], [0.679, 0.196, 0.162], [0.179, 0.304, 0.838], [0.314, 0.435, 0.378], [0.686, 0.565, 0.622], [0.821, 0.696, 0.162], [0.800, 0.852, 0.896], [0.300, 0.648, 0.104], [0.700, 0.352, 0.896], [0.200, 0.148, 0.104]], "ef_ev_per_atom": -2.464, "space_group": "P2_1/c (14)"}


4.
{"formula": "Li3MnP2HO8", "functional": "PBE+U", "state": "optimized geometry", "lattice": [[-7.199, -2.021, 3.070], [1.696, 6.813, 4.120], [-4.657, 5.643, -5.916]], "species": ["H", "H", "H", "H", "O", "O", "O", "O", "O", "O", "O", "O", "O", "O", "O", "O", "O", "O", "O", "O", "O", "O", "O", "O", "O", "O", "O", "O", "O", "O", "O", "O", "O", "O", "O", "O", "Li", "Li", "Li", "Li", "Li", "Li", "Li", "Li", "Li", "Li", "Li", "Li", "P", "P", "P", "P", "P", "P", "P", "P", "Mn", "Mn", "Mn", "Mn"], "fractional_positions": [[0.375, 0.875, 0.750], [0.625, 0.125, 0.250], [0.125, 0.625, 0.249], [0.874, 0.375, 0.749], [0.012, 0.276, 0.398], [0.988, 0.724, 0.602], [0.795, 0.335, 0.649], [0.092, 0.035, 0.626], [0.545, 0.085, 0.149], [0.455, 0.915, 0.852], [0.908, 0.965, 0.374], [0.705, 0.164, 0.352], [0.488, 0.224, 0.602], [0.842, 0.785, 0.126], [0.342, 0.285, 0.126], [0.933, 0.176, 0.154], [0.205, 0.665, 0.352], [0.433, 0.676, 0.154], [0.263, 0.526, 0.898], [0.816, 0.574, 0.346], [0.763, 0.026, 0.898], [0.158, 0.215, 0.874], [0.067, 0.824, 0.846], [0.592, 0.535, 0.626], [0.566, 0.324, 0.846], [0.238, 0.974, 0.102], [0.658, 0.715, 0.874], [0.045, 0.585, 0.149], [0.683, 0.926, 0.654], [0.408, 0.465, 0.374], [0.513, 0.776, 0.398], [0.738, 0.474, 0.102], [0.955, 0.415, 0.852], [0.295, 0.835, 0.649], [0.183, 0.426, 0.654], [0.316, 0.074, 0.346], [0.250, 0.750, 0.000], [0.371, 0.131, 0.877], [0.629, 0.869, 0.123], [0.621, 0.381, 0.377], [0.871, 0.631, 0.877], [0.879, 0.119, 0.623], [0.750, 0.250, 0.000], [0.000, 0.500, 0.500], [0.379, 0.619, 0.623], [0.129, 0.369, 0.123], [0.500, 0.000, 0.500], [0.121, 0.881, 0.377], [0.145, 0.394, 0.819], [0.895, 0.144, 0.319], [0.605, 0.356, 0.681], [0.855, 0.606, 0.181], [0.395, 0.644, 0.319], [0.105, 0.856, 0.681], [0.645, 0.894, 0.819], [0.355, 0.106, 0.181], [0.500, 0.500, 0.000], [0.000, 0.000, 0.000], [0.750, 0.750, 0.500], [0.250, 0.250, 0.500]], "ef_ev_per_atom": -2.514, "e_above_lowest_polymorph_mev_per_atom": 0.0}


5.
{"formula": "Li3MnP2HO8", "functional": "PBE+U", "state": "optimized geometry", "lattice": [[8.423, 0.000, 0.000], [0.000, 4.960, 0.000], [0.000, 1.841, 7.549]], "species": ["Li", "Li", "Li", "Li", "Li", "Li", "O", "O", "O", "O", "O", "O", "O", "O", "O", "O", "O", "O", "O", "O", "O", "O", "P", "P", "P", "P", "H", "H", "Mn", "Mn"], "fractional_positions": [[0.847, 0.610, 0.944], [0.794, 0.081, 0.684], [0.140, 0.865, 0.612], [0.347, 0.390, 0.056], [0.640, 0.135, 0.388], [0.294, 0.919, 0.316], [0.981, 0.826, 0.427], [0.481, 0.174, 0.573], [0.534, 0.349, 0.923], [0.822, 0.373, 0.447], [0.054, 0.040, 0.800], [0.928, 0.494, 0.723], [0.428, 0.506, 0.277], [0.554, 0.960, 0.200], [0.034, 0.651, 0.077], [0.685, 0.914, 0.906], [0.295, 0.759, 0.914], [0.185, 0.086, 0.094], [0.795, 0.241, 0.086], [0.208, 0.218, 0.435], [0.322, 0.627, 0.553], [0.708, 0.782, 0.565], [0.643, 0.116, 0.026], [0.858, 0.623, 0.529], [0.143, 0.884, 0.974], [0.358, 0.377, 0.471], [0.000, 0.297, 0.758], [0.500, 0.703, 0.242], [0.997, 0.250, 0.252], [0.497, 0.750, 0.748]], "ef_ev_per_atom": -2.508, "space_group": "P2_1 (4)", "e_above_lowest_polymorph_mev_per_atom": 5.5}


6.
{"formula": "LiMnP2H5O9", "functional": "PBE+U", "state": "optimized geometry", "lattice": [[4.790, -5.337, 2.750], [-0.273, -0.838, -7.649], [5.392, 5.019, 2.616]], "species": ["O", "O", "O", "O", "O", "O", "O", "O", "O", "O", "O", "O", "O", "O", "O", "O", "O", "O", "H", "H", "H", "H", "H", "H", "H", "H", "H", "H", "Li", "Li", "P", "P", "P", "P", "Mn", "Mn"], "fractional_positions": [[0.747, 0.090, 0.432], [0.513, 0.163, 0.804], [0.243, 0.488, 0.855], [0.471, 0.792, 0.689], [0.957, 0.411, 0.671], [0.835, 0.810, 0.463], [0.023, 0.819, 0.176], [0.165, 0.190, 0.537], [0.421, 0.548, 0.323], [0.487, 0.837, 0.196], [0.243, 0.952, 0.911], [0.579, 0.452, 0.677], [0.253, 0.910, 0.568], [0.757, 0.512, 0.145], [0.757, 0.048, 0.089], [0.977, 0.181, 0.824], [0.529, 0.208, 0.311], [0.043, 0.589, 0.329], [0.862, 0.295, 0.572], [0.468, 0.495, 0.730], [0.532, 0.505, 0.270], [0.538, 0.302, 0.452], [0.798, 0.926, 0.455], [0.434, 0.656, 0.278], [0.138, 0.705, 0.428], [0.462, 0.698, 0.548], [0.202, 0.074, 0.545], [0.566, 0.344, 0.722], [0.151, 0.219, 0.228], [0.849, 0.781, 0.772], [0.366, 0.959, 0.743], [0.087, 0.317, 0.730], [0.913, 0.683, 0.270], [0.634, 0.041, 0.257], [0.739, 0.225, 0.961], [0.261, 0.775, 0.039]], "ef_ev_per_atom": -2.001, "space_group": "P-1 (2)"}


7.
{"formula": "LiMnP3H2O10", "functional": "PBE+U", "state": "optimized geometry", "lattice": [[-2.669, 3.975, 10.375], [1.792, -7.896, 3.486], [8.924, -1.428, 2.842]], "species": ["O", "O", "O", "O", "O", "O", "O", "O", "O", "O", "O", "O", "O", "O", "O", "O", "O", "O", "O", "O", "O", "O", "O", "O", "O", "O", "O", "O", "O", "O", "O", "O", "O", "O", "O", "O", "O", "O", "O", "O", "Li", "Li", "Li", "Li", "P", "P", "P", "P", "P", "P", "P", "P", "P", "P", "P", "P", "H", "H", "H", "H", "H", "H", "H", "H", "Mn", "Mn", "Mn", "Mn"], "fractional_positions": [[0.968, 0.173, 0.993], [0.032, 0.827, 0.007], [0.240, 0.713, 0.087], [0.111, 0.404, 0.627], [0.705, 0.592, 0.567], [0.896, 0.910, 0.776], [0.107, 0.817, 0.756], [0.611, 0.596, 0.873], [0.295, 0.408, 0.433], [0.893, 0.183, 0.244], [0.760, 0.287, 0.913], [0.994, 0.760, 0.506], [0.595, 0.288, 0.213], [0.740, 0.287, 0.413], [0.923, 0.910, 0.227], [0.905, 0.288, 0.713], [0.577, 0.910, 0.727], [0.095, 0.712, 0.287], [0.006, 0.240, 0.494], [0.104, 0.090, 0.224], [0.604, 0.910, 0.276], [0.532, 0.173, 0.493], [0.795, 0.592, 0.067], [0.205, 0.408, 0.933], [0.405, 0.712, 0.787], [0.468, 0.827, 0.507], [0.561, 0.490, 0.337], [0.889, 0.596, 0.373], [0.439, 0.510, 0.663], [0.389, 0.404, 0.127], [0.939, 0.490, 0.837], [0.077, 0.090, 0.773], [0.260, 0.713, 0.587], [0.607, 0.183, 0.744], [0.506, 0.760, 0.006], [0.423, 0.090, 0.273], [0.061, 0.510, 0.163], [0.494, 0.240, 0.994], [0.393, 0.817, 0.256], [0.396, 0.090, 0.724], [0.837, 0.924, 0.585], [0.663, 0.924, 0.085], [0.337, 0.076, 0.915], [0.163, 0.076, 0.415], [0.114, 0.677, 0.133], [0.977, 0.097, 0.181], [0.473, 0.267, 0.138], [0.973, 0.733, 0.362], [0.614, 0.323, 0.367], [0.386, 0.677, 0.633], [0.523, 0.097, 0.681], [0.477, 0.903, 0.319], [0.527, 0.733, 0.862], [0.027, 0.267, 0.638], [0.023, 0.903, 0.819], [0.886, 0.323, 0.867], [0.655, 0.657, 0.475], [0.155, 0.343, 0.025], [0.772, 0.561, 0.518], [0.345, 0.343, 0.525], [0.228, 0.439, 0.482], [0.272, 0.439, 0.982], [0.728, 0.561, 0.018], [0.845, 0.657, 0.975], [0.603, 0.403, 0.782], [0.103, 0.597, 0.718], [0.897, 0.403, 0.282], [0.397, 0.597, 0.218]], "ef_ev_per_atom": -2.330, "space_group": "P2_1/c (14)"}